{"formula": "NdInNi", "functional": "PBE", "state": "optimized geometry", "lattice_angstrom": [[7.533, 0.000, 0.000], [-3.767, 6.524, 0.000], [0.000, 0.000, 3.979]], "species": ["Nd", "Nd", "Nd", "In", "In", "In", "Ni", "Ni", "Ni"], "fractional_positions": [[0.000, 0.585, 0.000], [0.415, 0.415, 0.000], [0.585, 0.000, 0.000], [0.000, 0.246, 0.500], [0.246, 0.000, 0.500], [0.754, 0.754, 0.500], [0.000, 0.000, 0.000], [0.333, 0.667, 0.500], [0.667, 0.333, 0.500]], "sg": "P-62m (189)", "delta_e_f_ev_per_atom": -0.451}